(1)
Entry from the Materials Project database: a geometry-optimized Ni3Bi10O20 structure (PBE+U).

Geometry as POSCAR:
```
Ni3Bi10O20
1.0
5.008 7.158 0.000
-5.008 7.158 0.000
0.000 7.012 7.167
O Ni Bi
20 3 10
direct
0.243 0.747 0.635
0.006 0.786 0.996
0.999 0.612 0.388
0.388 0.001 0.612
0.354 0.369 0.382
0.768 0.265 0.611
0.879 0.632 0.757
0.122 0.377 0.240
0.253 0.757 0.365
0.368 0.121 0.243
0.631 0.646 0.618
0.991 0.223 0.793
0.635 0.613 0.138
0.735 0.232 0.389
0.623 0.878 0.760
0.777 0.009 0.207
0.387 0.365 0.862
0.009 0.374 0.016
0.626 0.991 0.984
0.214 0.994 0.004
0.000 0.000 0.000
0.191 0.236 0.115
0.764 0.809 0.885
0.303 0.663 0.192
0.669 0.294 0.841
0.488 0.140 0.681
0.860 0.512 0.319
0.178 0.156 0.501
0.337 0.697 0.808
0.511 0.859 0.289
0.141 0.489 0.711
0.706 0.331 0.159
0.844 0.822 0.499
```

Properties
Space group: C2

***

(2)
Entry from the Materials Project database: a geometry-optimized Ni4Bi9O18 structure (PBE+U).

Geometry as POSCAR:
```
Ni4Bi9O18
1.0
8.453 0.000 0.000
-2.169 8.228 0.000
-2.915 -3.954 7.180
Bi O Ni
9 18 4
direct
0.018 0.010 0.999
0.151 0.820 0.329
0.362 0.225 0.826
0.176 0.660 0.882
0.206 0.354 0.482
0.847 0.181 0.677
0.527 0.823 0.686
0.841 0.374 0.185
0.688 0.866 0.156
0.665 0.344 0.927
0.364 0.648 0.102
0.965 0.637 0.989
0.877 0.933 0.637
0.389 0.650 0.768
0.695 0.016 0.998
0.110 0.315 0.694
0.661 0.077 0.354
0.902 0.676 0.324
0.291 0.270 0.251
0.300 0.951 0.648
0.661 0.406 0.316
0.713 0.661 0.701
0.019 0.271 0.985
0.289 0.964 0.037
0.246 0.604 0.382
0.432 0.308 0.635
0.004 0.026 0.274
0.790 0.667 0.504
0.484 0.180 0.273
0.276 0.463 0.170
0.700 0.503 0.813
```

Properties
Space group: P1

***

(3)
Entry from the Materials Project database: a geometry-optimized NiBiO3 structure (PBE+U).

Geometry as POSCAR:
```
NiBiO3
1.0
2.731 2.810 0.000
-2.731 2.810 0.000
0.000 0.068 3.870
O Bi Ni
3 1 1
direct
0.551 0.018 0.522
0.539 0.539 0.010
0.018 0.551 0.522
0.937 0.937 0.969
0.509 0.509 0.507
```

Properties
Space group: Cm

***

(4)
Entry from the Materials Project database: a geometry-optimized NiBiO3 structure (PBE+U).

Geometry as POSCAR:
```
NiBiO3
1.0
0.204 -5.149 -1.916
3.689 3.710 -1.689
1.786 -4.207 3.608
O Ni Bi
6 2 2
direct
0.852 0.717 0.219
0.283 0.353 0.219
0.108 0.228 0.732
0.387 0.892 0.732
0.647 0.148 0.219
0.772 0.613 0.732
0.493 0.507 0.522
0.996 0.004 0.013
0.697 0.303 0.909
0.209 0.791 0.373
```

Properties
Space group: R3

***

Number 1: theoretical density 8358 kg/m³, formation enthalpy at 0 K -1.348 eV per atom. Number 2: theoretical density 7993 kg/m³, formation enthalpy at 0 K -1.342 eV per atom. Number 3: theoretical density 8825 kg/m³, formation enthalpy at 0 K -1.227 eV per atom. Number 4: theoretical density 8204 kg/m³, formation enthalpy at 0 K -1.355 eV per atom.